No. 1
Below is Rb3SiF7 after structural relaxation, with properties calculated at the PBE level.

Its crystal system is tetragonal. The density is 3.57 g/cm³.

The structure belongs to space group P4/mbm (No. 127); the cell edges are 8.1058, 8.1058 and 5.9048 Å and the angles 90.00°, 90.00° and 90.00°. The asymmetric unit holds Rb at (0.0000, 0.0000, 0.0000), Rb at (0.1951, 0.3049, 0.5000), Si at (0.0000, 0.5000, 0.0000), F at (0.0000, 0.0000, 0.5000), F at (0.1055, 0.6055, 0.2076) and F at (0.1499, 0.3501, 0.0000).

***

No. 2
Below is Rb2SiF6 after structural relaxation, with properties calculated at the PBE level.

Its crystal system is cubic. The density is 3.26 g/cm³.

The structure belongs to space group Fm-3m (No. 225); the cell edges are 8.6117, 8.6117 and 8.6117 Å and the angles 90.00°, 90.00° and 90.00°. The asymmetric unit holds Rb at (0.2500, 0.2500, 0.2500), Si at (0.0000, 0.0000, 0.0000) and F at (0.0000, 0.0000, 0.2000).

***

no.,raw total energy (eV per atom)
1,-5.012
2,-5.221